Below is a geometry-optimized Na6Zr2Zn6SiS11O48 structure, with properties calculated at the GGA-PBE level.

Values from the calculation:
VASP energy, eV/atom: -6.049
Symmetry: P1 (1)
DFT formation energy, eV/f.u.: -159.6

Cell and atoms, written as POSCAR:
```
Na6Zr2Zn6SiS11O48
1.0
8.859 0.000 0.000
0.006 15.282 0.000
0.160 0.069 22.825
Na Zr Zn Si S O
18 6 18 3 33 144
Cartesian
0.000 0.000 0.000
0.135 4.895 19.009
8.914 4.969 7.923
2.882 10.377 16.961
3.218 15.116 17.401
3.210 4.970 2.189
4.332 7.750 11.649
4.282 7.740 0.122
4.399 2.494 15.312
4.464 12.725 19.168
4.367 2.411 4.123
4.486 12.599 7.922
5.599 4.994 13.358
6.065 5.188 20.963
7.629 12.625 2.186
8.760 10.103 15.004
8.841 15.184 11.482
8.801 10.071 4.141
4.301 7.430 8.138
4.381 12.609 4.382
8.726 15.067 8.114
8.849 10.136 18.714
8.847 15.096 14.903
8.810 4.969 4.386
4.306 2.395 11.793
4.290 2.565 7.342
4.365 12.642 15.583
4.421 12.697 22.488
4.407 7.485 19.429
4.399 7.546 14.943
4.386 12.563 11.182
4.366 7.428 3.668
4.366 2.300 0.385
4.489 2.508 18.808
8.725 10.219 7.348
8.816 10.070 11.832
8.843 5.006 15.613
8.796 15.059 3.654
8.783 9.985 0.450
8.953 4.931 22.545
8.904 5.010 11.188
8.988 15.162 19.473
1.405 12.938 17.264
3.118 5.150 5.661
7.540 12.783 5.656
1.178 7.842 9.600
1.183 7.237 1.908
1.298 2.218 17.229
1.202 2.631 1.962
1.329 12.292 9.652
1.729 2.457 9.634
1.710 12.583 1.912
1.829 7.470 17.239
2.533 15.192 5.772
2.618 4.978 13.422
2.694 10.070 21.023
3.059 10.305 13.436
3.020 9.712 5.769
3.135 4.736 21.056
3.142 0.189 20.992
3.143 14.940 13.406
5.607 0.196 9.608
5.718 9.736 17.221
5.615 10.300 1.931
5.627 14.881 1.913
5.771 5.243 17.221
5.762 4.662 9.681
6.237 15.217 17.273
6.133 4.953 1.868
6.190 10.097 9.648
6.969 12.587 13.400
6.959 7.553 5.774
7.127 2.444 21.016
7.543 12.393 21.144
7.550 7.799 21.073
7.445 2.073 5.767
7.505 2.759 13.383
7.537 7.251 13.421
0.513 8.550 1.867
0.640 6.463 9.687
0.711 13.621 15.921
0.732 1.665 18.461
0.730 11.425 17.384
0.627 1.297 2.162
0.677 8.501 8.395
0.634 3.226 0.741
0.699 13.689 9.510
0.761 3.572 17.021
0.670 6.536 3.154
0.734 11.726 10.872
0.838 1.241 9.501
0.859 3.659 9.737
0.821 11.375 1.913
0.947 6.311 17.076
0.944 1.321 16.048
0.967 8.720 17.407
0.862 13.804 1.970
0.875 3.543 3.143
0.955 8.591 10.844
0.898 6.382 0.740
1.056 11.527 8.432
1.218 13.915 18.511
1.442 5.092 5.654
1.582 10.173 13.314
1.662 0.071 20.984
1.671 4.930 21.148
1.622 15.106 13.495
1.579 9.809 5.949
1.664 15.050 6.976
1.804 10.165 19.783
1.845 9.921 22.215
1.737 0.114 4.550
1.813 4.834 14.644
1.817 5.128 12.192
2.514 2.246 10.868
2.545 2.584 8.422
2.621 7.306 18.468
2.528 12.645 0.696
2.660 7.792 16.059
2.568 12.494 3.138
2.656 7.368 2.002
2.709 7.708 9.492
2.793 2.214 17.259
2.689 2.621 1.910
2.790 12.492 9.767
3.007 12.713 17.059
3.328 11.020 14.723
3.278 13.881 5.682
3.418 3.914 19.859
3.338 8.982 4.536
3.393 14.086 12.240
3.492 1.001 22.179
3.498 11.305 21.040
3.541 8.867 20.896
3.528 3.780 13.328
3.478 6.165 6.936
3.531 6.178 13.511
3.489 0.988 5.940
3.631 0.801 19.713
3.615 14.360 14.686
3.579 5.769 4.240
3.639 11.005 12.277
3.715 4.132 22.298
3.609 11.100 5.680
3.690 8.948 13.499
3.721 1.008 13.290
3.778 14.116 21.066
3.681 9.108 6.970
3.828 6.069 20.932
3.747 3.697 5.870
4.941 0.908 1.869
5.104 9.127 18.423
5.069 14.105 9.707
5.124 3.898 17.317
5.039 8.960 2.118
5.104 0.856 8.402
5.122 6.045 9.523
5.057 10.923 0.724
5.177 11.103 17.104
5.099 14.173 3.157
5.208 5.903 16.009
5.208 4.127 10.953
5.322 1.124 17.291
5.298 8.876 9.526
5.252 3.746 1.887
5.306 11.293 9.752
5.286 6.174 1.944
5.296 11.186 3.134
5.398 14.004 17.128
5.399 0.964 10.847
5.361 14.017 0.746
5.438 3.844 8.512
5.510 6.021 18.476
5.499 8.946 16.001
5.868 12.724 5.658
6.067 12.430 21.112
6.024 2.631 13.283
6.074 7.633 20.949
6.033 7.328 13.524
6.005 2.172 5.949
6.091 7.407 6.977
6.174 12.480 14.639
6.166 12.771 12.186
6.238 2.688 19.843
6.173 7.756 4.548
6.334 2.303 22.262
6.914 5.024 0.609
6.998 9.902 10.865
6.983 10.228 8.420
7.063 15.116 18.473
7.092 0.088 16.034
7.040 4.873 3.055
7.139 0.056 9.493
7.095 15.018 2.028
7.215 9.846 17.399
7.107 10.272 1.899
7.248 5.100 17.113
7.221 4.859 9.755
7.759 3.575 14.594
7.701 6.237 5.678
7.840 8.594 22.275
7.780 6.385 12.235
7.767 1.342 4.538
7.839 13.848 13.499
7.882 11.431 13.308
7.948 11.519 19.948
7.960 3.701 21.095
7.988 1.258 20.866
7.897 13.798 6.932
7.923 8.626 5.941
8.063 11.752 22.372
8.083 8.494 19.852
8.009 13.406 4.243
8.138 13.724 20.991
8.032 3.464 5.673
8.092 6.651 14.655
8.085 3.352 12.166
8.099 1.386 13.531
8.104 8.609 13.273
8.169 6.447 21.095
8.107 1.477 6.970
8.170 11.333 5.871
```

Below is a geometry-optimized Na6Zr6Zn2Si5S7O48 structure, with properties calculated at the GGA-PBE level.

Values from the calculation:
VASP energy, eV/atom: -7.003
Symmetry: P1 (1)
DFT formation energy, eV/f.u.: -195.9

Cell and atoms, written as POSCAR:
```
Na6Zr6Zn2Si5S7O48
1.0
9.058 0.000 0.000
0.003 15.575 0.000
0.004 0.090 23.464
Na Zr Zn Si S O
18 18 6 15 21 144
Cartesian
0.000 0.000 0.000
0.004 0.208 11.554
1.658 2.466 1.922
2.676 10.319 13.584
4.318 7.810 11.672
4.360 13.103 7.527
4.387 8.007 23.405
4.415 13.046 19.466
4.418 2.634 3.736
4.469 2.808 15.577
5.596 5.094 1.944
5.939 0.414 1.986
7.427 8.247 13.650
7.769 12.931 13.611
8.919 10.554 3.969
8.963 5.176 7.766
8.961 10.482 15.337
9.003 5.249 19.158
0.022 5.283 11.147
4.286 13.085 11.274
4.303 13.126 22.894
4.331 7.805 15.082
4.401 7.924 3.470
4.422 2.723 11.949
4.442 7.928 19.914
4.451 2.668 7.445
4.457 7.923 8.202
4.493 2.796 18.926
8.878 10.555 7.223
8.889 10.536 0.308
8.901 10.615 19.091
8.933 0.192 19.930
8.960 0.209 15.137
9.036 0.103 8.284
9.046 15.572 3.428
9.049 5.278 23.062
0.065 5.353 16.132
4.274 13.138 4.457
4.362 12.932 15.704
4.392 2.647 0.585
8.971 10.491 12.293
9.032 5.066 4.087
1.141 7.520 13.700
1.205 12.856 21.420
1.263 13.398 5.852
1.750 13.130 13.705
2.571 5.316 1.953
3.033 5.666 17.581
3.123 0.371 9.729
3.129 5.019 9.678
3.155 15.259 1.970
5.707 10.243 5.783
5.772 10.836 13.673
6.271 10.515 21.464
7.089 2.699 9.727
7.598 2.980 1.967
7.678 2.496 17.514
1.205 8.261 21.448
1.224 2.406 5.809
1.253 3.060 13.672
1.758 7.829 5.843
1.806 2.752 21.466
2.509 10.472 9.736
2.551 0.087 17.570
3.078 10.778 1.917
3.101 10.222 17.554
5.720 15.387 13.695
5.743 0.501 21.482
5.759 5.012 21.492
5.783 5.603 5.791
6.318 0.116 5.798
6.348 5.254 13.675
7.031 13.019 1.930
7.079 7.940 17.537
7.596 13.455 17.532
7.625 12.732 9.775
7.639 8.244 9.754
7.660 7.547 1.940
0.385 6.884 14.959
0.515 14.321 21.275
0.542 11.900 6.001
0.548 14.053 4.517
0.569 6.931 21.577
0.588 9.043 13.506
0.586 12.103 22.741
0.589 3.731 5.734
0.629 1.671 13.777
0.653 8.916 20.240
0.656 3.627 12.431
0.665 1.713 7.000
0.722 14.432 13.838
0.812 11.823 13.489
0.812 14.315 7.118
0.897 6.615 12.343
0.903 6.665 5.702
0.906 1.555 21.291
0.908 11.892 20.126
0.917 3.973 21.542
0.926 1.594 4.570
0.950 9.074 22.666
0.957 9.084 5.991
0.983 3.829 14.866
1.459 5.540 17.538
1.495 0.229 9.598
1.499 5.161 9.821
1.498 15.488 2.087
1.605 5.563 0.597
1.605 10.564 1.699
1.615 10.287 17.704
1.648 10.614 8.540
1.668 15.515 18.773
1.664 5.040 3.237
1.690 0.300 16.367
1.751 10.289 10.970
2.561 2.572 22.701
2.620 12.849 15.021
2.625 8.042 4.626
2.644 7.677 7.031
2.659 2.899 20.271
2.684 8.120 21.324
2.696 13.395 12.367
2.701 2.495 5.894
2.721 2.870 13.519
2.808 7.739 13.812
2.829 12.968 21.548
2.854 13.260 5.803
3.293 11.563 3.104
3.354 1.343 17.738
3.378 9.411 16.331
3.384 1.305 11.051
3.394 11.679 9.808
3.401 4.083 8.373
3.401 9.268 9.552
3.403 14.357 0.593
3.414 14.500 17.456
3.482 6.578 18.884
3.495 4.001 1.729
3.604 6.616 2.052
3.664 9.515 18.757
3.679 11.361 0.675
3.701 9.401 2.023
3.713 11.546 17.501
3.722 1.203 1.768
3.745 1.109 8.409
3.751 4.340 11.028
3.767 4.180 17.761
3.781 6.347 16.288
3.798 6.505 9.523
3.847 14.489 9.866
3.945 14.600 3.192
5.008 11.523 12.371
5.064 9.337 13.853
5.090 9.409 7.075
5.116 11.700 5.619
5.123 4.278 5.885
5.145 1.131 20.283
5.146 6.373 21.280
5.168 1.180 13.527
5.170 14.699 21.586
5.176 14.797 14.912
5.186 4.443 22.703
5.186 6.250 4.551
5.328 9.190 21.304
5.392 4.113 13.519
5.400 11.866 21.647
5.407 6.444 6.972
5.439 9.220 4.495
5.467 1.352 5.885
5.478 4.169 20.285
5.515 14.489 5.729
5.508 14.547 12.480
5.517 6.551 13.763
5.547 1.279 22.700
5.674 11.795 14.971
6.014 2.792 1.721
6.023 2.492 17.747
6.145 2.478 11.048
6.143 2.935 8.409
6.150 7.651 2.019
6.152 8.077 9.544
6.156 12.863 9.863
6.155 13.338 17.471
6.163 7.861 18.738
6.220 13.192 0.696
6.262 8.158 16.317
6.278 12.797 3.131
7.119 5.078 14.885
7.147 0.296 4.543
7.159 5.459 12.450
7.217 0.037 6.978
7.228 0.329 21.269
7.237 5.191 21.582
7.234 5.530 5.706
7.243 15.471 13.798
7.261 10.287 22.762
7.270 10.680 20.161
7.362 10.221 6.006
7.361 10.610 13.464
7.733 3.988 3.208
7.837 9.020 10.971
7.872 6.732 17.510
7.873 14.282 2.005
7.888 6.705 0.708
7.923 11.890 8.560
7.942 9.158 17.711
7.945 1.472 16.251
7.982 14.271 18.727
7.990 11.850 1.743
8.003 1.366 9.546
8.001 4.034 9.930
8.201 14.058 16.306
8.215 6.869 9.852
8.214 6.970 3.145
8.221 12.156 10.978
8.217 14.089 9.563
8.233 8.873 8.550
8.240 8.906 1.727
8.262 12.103 17.665
8.272 3.959 17.373
8.286 1.674 18.825
8.308 1.494 2.078
8.365 3.689 0.636
```

> Number 1 is which compound?

Na6Zr2Zn6SiS11O48

> Look up the DFT formation energy of the first one.

-159.6 eV/f.u.